Entry 1:
Compound: DyAsO4
Source: the Materials Project
Functional: PBE
Structure: relaxed

Cell: 5.975 5.975 5.975 Å, 106.46 106.46 115.68°
Positions (direct):
1 Dy 0.375 0.625 0.750
2 Dy 0.625 0.375 0.250
3 As 0.125 0.875 0.250
4 As 0.875 0.125 0.750
5 O 0.129 0.698 0.431
6 O 0.234 0.302 0.931
7 O 0.302 0.234 0.431
8 O 0.302 0.871 0.069
9 O 0.698 0.129 0.931
10 O 0.698 0.766 0.569
11 O 0.766 0.698 0.069
12 O 0.871 0.302 0.569

Summary:
theoretical density: 6.150 g cm⁻³
symmetry: I4_1/amd (141)

=====

Entry 2:
Compound: DyAs2O2
Source: the Materials Project
Functional: PBE
Structure: relaxed

Cell: 10.308 10.308 10.308 Å, 116.14 116.14 96.82°
Positions (direct):
1 Dy 0.000 0.000 0.000
2 Dy 0.000 0.000 0.500
3 Dy 0.000 0.500 0.000
4 Dy 0.500 0.000 0.500
5 As 0.105 0.737 0.368
6 As 0.131 0.263 0.868
7 As 0.263 0.131 0.368
8 As 0.263 0.895 0.132
9 As 0.737 0.105 0.868
10 As 0.737 0.869 0.632
11 As 0.869 0.737 0.132
12 As 0.895 0.263 0.632
13 O 0.095 0.149 0.946
14 O 0.149 0.095 0.446
15 O 0.149 0.704 0.054
16 O 0.296 0.851 0.446
17 O 0.704 0.149 0.554
18 O 0.851 0.296 0.946
19 O 0.851 0.905 0.554
20 O 0.905 0.851 0.054

Summary:
theoretical density: 2.812 g cm⁻³
symmetry: I4_1/amd (141)

=====

Entry 3:
Compound: DyAsPd
Source: the Materials Project
Functional: PBE
Structure: relaxed

Cell: 7.053 4.149 7.959 Å, 90.00 90.00 90.00°
Positions (direct):
1 Dy 0.030 0.250 0.191
2 Dy 0.470 0.750 0.691
3 Dy 0.530 0.250 0.309
4 Dy 0.970 0.750 0.809
5 As 0.250 0.250 0.880
6 As 0.250 0.750 0.380
7 As 0.750 0.250 0.620
8 As 0.750 0.750 0.120
9 Pd 0.145 0.250 0.563
10 Pd 0.355 0.750 0.063
11 Pd 0.645 0.250 0.937
12 Pd 0.855 0.750 0.437

Summary:
theoretical density: 9.805 g cm⁻³
symmetry: Pnma (62)

=====

Entry 4:
Compound: DyAsS
Source: the Materials Project
Functional: PBE
Structure: relaxed

Cell: 17.032 3.834 3.852 Å, 90.00 90.00 90.00°
Positions (direct):
1 Dy 0.146 0.250 0.229
2 Dy 0.354 0.750 0.729
3 Dy 0.646 0.250 0.271
4 Dy 0.854 0.750 0.771
5 As 0.002 0.250 0.719
6 As 0.498 0.750 0.219
7 As 0.502 0.250 0.781
8 As 0.998 0.750 0.281
9 S 0.187 0.750 0.730
10 S 0.313 0.250 0.230
11 S 0.687 0.750 0.770
12 S 0.813 0.250 0.270

Summary:
theoretical density: 7.117 g cm⁻³
symmetry: Pnma (62)

=====

Uncorrected energy list, top to bottom, in eV per atom: -7.23, -5.91, -6.01, -6.02